{"formula": "Na3Nb5ZnSi6S3O36", "functional": "PBE", "state": "relaxed", "lattice": [[7.678, -4.454, 0.000], [7.678, 4.454, 0.000], [-0.171, 0.000, 22.997]], "species": ["Na", "Na", "Na", "Na", "Na", "Na", "Nb", "Nb", "Nb", "Nb", "Nb", "Nb", "Nb", "Nb", "Nb", "Nb", "Zn", "Zn", "Si", "Si", "Si", "Si", "Si", "Si", "Si", "Si", "Si", "Si", "Si", "Si", "S", "S", "S", "S", "S", "S", "O", "O", "O", "O", "O", "O", "O", "O", "O", "O", "O", "O", "O", "O", "O", "O", "O", "O", "O", "O", "O", "O", "O", "O", "O", "O", "O", "O", "O", "O", "O", "O", "O", "O", "O", "O", "O", "O", "O", "O", "O", "O", "O", "O", "O", "O", "O", "O", "O", "O", "O", "O", "O", "O", "O", "O", "O", "O", "O", "O", "O", "O", "O", "O", "O", "O", "O", "O", "O", "O", "O", "O"], "frac_coords": [[0.000, 0.000, 0.000], [0.000, 0.000, 0.500], [0.322, 0.340, 0.165], [0.340, 0.322, 0.665], [0.664, 0.672, 0.829], [0.672, 0.664, 0.329], [0.010, 0.983, 0.143], [0.318, 0.341, 0.020], [0.320, 0.340, 0.315], [0.340, 0.320, 0.815], [0.341, 0.318, 0.520], [0.651, 0.661, 0.477], [0.661, 0.651, 0.977], [0.983, 0.010, 0.643], [0.989, 0.991, 0.858], [0.991, 0.989, 0.358], [0.649, 0.680, 0.684], [0.680, 0.649, 0.184], [0.039, 0.332, 0.418], [0.040, 0.613, 0.915], [0.327, 0.615, 0.418], [0.332, 0.039, 0.918], [0.376, 0.951, 0.586], [0.389, 0.655, 0.087], [0.613, 0.040, 0.415], [0.615, 0.327, 0.918], [0.655, 0.389, 0.587], [0.705, 0.987, 0.749], [0.951, 0.376, 0.086], [0.987, 0.705, 0.249], [0.282, 0.709, 0.751], [0.285, 0.996, 0.251], [0.660, 0.955, 0.085], [0.709, 0.282, 0.251], [0.955, 0.660, 0.585], [0.996, 0.285, 0.751], [0.020, 0.809, 0.194], [0.021, 0.161, 0.405], [0.025, 0.174, 0.697], [0.026, 0.805, 0.908], [0.132, 0.510, 0.576], [0.134, 0.361, 0.360], [0.135, 0.495, 0.858], [0.150, 0.339, 0.073], [0.158, 0.297, 0.755], [0.161, 0.021, 0.905], [0.162, 0.530, 0.973], [0.162, 0.810, 0.408], [0.164, 0.299, 0.473], [0.172, 0.517, 0.257], [0.174, 0.025, 0.197], [0.176, 0.793, 0.698], [0.180, 0.970, 0.593], [0.185, 0.831, 0.091], [0.194, 0.817, 0.804], [0.194, 0.982, 0.303], [0.292, 0.536, 0.756], [0.295, 0.530, 0.475], [0.297, 0.158, 0.255], [0.299, 0.164, 0.973], [0.339, 0.150, 0.573], [0.354, 0.493, 0.075], [0.359, 0.497, 0.360], [0.361, 0.134, 0.860], [0.454, 0.843, 0.246], [0.456, 0.688, 0.749], [0.467, 0.694, 0.027], [0.469, 0.831, 0.527], [0.489, 0.887, 0.643], [0.490, 0.635, 0.146], [0.493, 0.354, 0.575], [0.495, 0.135, 0.358], [0.497, 0.359, 0.860], [0.500, 0.637, 0.422], [0.505, 0.852, 0.926], [0.510, 0.132, 0.076], [0.517, 0.172, 0.757], [0.530, 0.162, 0.473], [0.530, 0.295, 0.975], [0.536, 0.292, 0.256], [0.633, 0.884, 0.137], [0.635, 0.490, 0.646], [0.637, 0.500, 0.922], [0.643, 0.848, 0.425], [0.688, 0.456, 0.249], [0.694, 0.467, 0.527], [0.694, 0.815, 0.748], [0.694, 0.847, 0.031], [0.793, 0.176, 0.198], [0.805, 0.026, 0.408], [0.809, 0.020, 0.694], [0.810, 0.162, 0.908], [0.815, 0.694, 0.248], [0.817, 0.194, 0.304], [0.822, 0.975, 0.090], [0.828, 0.981, 0.806], [0.831, 0.185, 0.591], [0.831, 0.469, 0.027], [0.843, 0.454, 0.746], [0.847, 0.694, 0.531], [0.848, 0.643, 0.925], [0.852, 0.505, 0.426], [0.884, 0.633, 0.637], [0.887, 0.489, 0.143], [0.970, 0.180, 0.093], [0.975, 0.822, 0.590], [0.981, 0.828, 0.306], [0.982, 0.194, 0.803]], "spacegroup": "Cc", "e_tot_ev_per_atom": -7.417, "total_magnetization_mub_per_fu": 0.000, "ef_ev_per_atom": -2.712}

{"formula": "GdGeRh", "functional": "PBE", "state": "relaxed", "lattice": [[7.004, 0.000, 0.000], [0.000, 4.361, 0.000], [0.000, 0.000, 7.595]], "species": ["Gd", "Gd", "Gd", "Gd", "Ge", "Ge", "Ge", "Ge", "Rh", "Rh", "Rh", "Rh"], "frac_coords": [[0.001, 0.250, 0.199], [0.499, 0.750, 0.699], [0.501, 0.250, 0.301], [0.999, 0.750, 0.801], [0.211, 0.750, 0.401], [0.289, 0.250, 0.901], [0.711, 0.750, 0.099], [0.789, 0.250, 0.599], [0.160, 0.250, 0.572], [0.340, 0.750, 0.072], [0.660, 0.250, 0.928], [0.840, 0.750, 0.428]], "spacegroup": "Pnma", "e_tot_ev_per_atom": -9.634, "ef_ev_per_atom": -0.946}